(1)
DFT (PBE-GGA) results for Ba5Na2Ru3O14 after structural relaxation.

Lattice parameters (Å, degrees): 5.914 24.741 5.978 90.00 119.36 90.00
Space group P2_1 (No. 4)
Unique sites:
Ba (0.006, 0.000, 0.023) [2 per cell]
Ba (0.014, 0.830, 0.023) [2 per cell]
Ba (0.320, 0.606, 0.642) [2 per cell]
Ba (0.326, 0.221, 0.628) [2 per cell]
Ba (0.343, 0.915, 0.686) [2 per cell]
Na (0.322, 0.763, 0.681) [2 per cell]
Na (0.346, 0.067, 0.682) [2 per cell]
Ru (0.004, 0.662, 0.012) [2 per cell]
Ru (0.325, 0.358, 0.647) [2 per cell]
Ru (0.326, 0.471, 0.648) [2 per cell]
O (0.011, 0.318, 0.491) [2 per cell]
O (0.014, 0.513, 0.492) [2 per cell]
O (0.072, 0.723, 0.874) [2 per cell]
O (0.173, 0.415, 0.800) [2 per cell]
O (0.175, 0.415, 0.347) [2 per cell]
O (0.179, 0.129, 0.330) [2 per cell]
O (0.182, 0.698, 0.354) [2 per cell]
O (0.239, 0.607, 0.127) [2 per cell]
O (0.287, 0.154, 0.955) [2 per cell]
O (0.371, 0.914, 0.201) [2 per cell]
O (0.470, 0.315, 0.954) [2 per cell]
O (0.480, 0.317, 0.487) [2 per cell]
O (0.485, 0.511, 0.492) [2 per cell]
O (0.489, 0.512, 0.959) [2 per cell]

Summary:
The formation energy is -5284 kJ/mol of formula units.

***

(2)
DFT (PBE-GGA) results for Ba2Na2US4O2 after structural relaxation.

Lattice parameters (Å, degrees): 6.448 6.826 6.880 81.19 66.77 71.85
Space group P-1 (No. 2)
Unique sites:
Ba (0.081, 0.189, 0.174) [2 per cell]
Na (0.363, 0.593, 0.290) [2 per cell]
U (0.500, 0.000, 0.500) [1 per cell]
S (0.177, 0.341, 0.683) [2 per cell]
S (0.401, 0.804, 0.878) [2 per cell]
O (0.264, 0.916, 0.456) [2 per cell]

Summary:
The formation energy is -2512 kJ/mol of formula units.

***

(3)
DFT (PBE-GGA) results for BaNaSr3Sb3O12 after structural relaxation.

Lattice parameters (Å, degrees): 11.633 11.803 8.230 90.00 90.00 90.00
Space group C222_1 (No. 20)
Unique sites:
Ba (0.000, 0.002, 0.250) [4 per cell]
Na (0.250, 0.000, 0.500) [4 per cell]
Sr (0.000, 0.494, 0.750) [4 per cell]
Sr (0.247, 0.249, 0.755) [8 per cell]
Sb (0.000, 0.254, 0.000) [8 per cell]
Sb (0.247, 0.500, 0.500) [4 per cell]
O (0.000, 0.224, 0.750) [4 per cell]
O (0.000, 0.287, 0.250) [4 per cell]
O (0.117, 0.365, 0.967) [8 per cell]
O (0.119, 0.143, 0.472) [8 per cell]
O (0.122, 0.378, 0.542) [8 per cell]
O (0.128, 0.129, 0.032) [8 per cell]
O (0.247, 0.469, 0.272) [8 per cell]

Summary:
The formation energy is -4919 kJ/mol of formula units.